The following is a PBE with a Hubbard U calculation of Li3Mn2CrO6 after structural relaxation, from the Materials Project.

Computed properties:
magnetic moment: 0.000 μB/atom
volume: 9.4 Å³ per atom
formation energy: -2.21 eV/atom

Cell lengths 3.043, 6.522, 12.089 Å; angles 75.84, 90.00, 103.49 degrees
Atoms (fractional coordinates):
O 0.841 0.681 0.544
Li 0.996 0.993 0.753
O 0.177 0.354 0.216
O 0.493 0.985 0.123
Mn 0.336 0.672 0.169
O 0.177 0.354 0.716
Li 0.667 0.333 0.083
Mn 0.336 0.672 0.669
Cr 0.667 0.333 0.333
Li 0.996 0.993 0.253
O 0.841 0.681 0.044
O 0.493 0.985 0.623
O 0.504 0.009 0.877
O 0.157 0.313 0.951
O 0.829 0.658 0.290
Mn 0.997 0.994 0.497
O 0.829 0.658 0.790
O 0.504 0.009 0.377
Li 0.667 0.333 0.583
Mn 0.997 0.994 0.997
O 0.157 0.313 0.451
Cr 0.667 0.333 0.833
Li 0.337 0.674 0.414
Li 0.337 0.674 0.914